(1)
38
Lattice="5.6029 0.0000 0.0000 0.0000 5.6029 0.0000 0.0000 0.0000 16.0079" Properties=species:S:1:pos:R:3 comment="Ba2La2Fe2Cu2O11 PBE with a Hubbard U optimized geometry" delta_e_f_ev_per_fu=-43.9 energy_corrected_mp2020_ev_per_atom=-7.2195 de_polymorph_mev_per_atom=0.0 pbc="T T T"
Ba 2.8015 0.0000 9.9453
Ba 0.0000 2.8015 13.9868
Ba 0.0000 2.8015 9.9453
Ba 2.8015 0.0000 13.9868
La 2.8015 0.0000 1.9683
La 0.0000 2.8015 5.9325
La 0.0000 2.8015 1.9683
La 2.8015 0.0000 5.9325
Fe 0.0000 0.0000 4.0364
Fe 2.8015 2.8015 7.7041
Fe 0.0000 0.0000 11.7514
Fe 2.8015 2.8015 0.0569
Cu 2.8015 2.8015 3.9534
Cu 0.0000 0.0000 7.9336
Cu 2.8015 2.8015 12.1947
Cu 0.0000 0.0000 0.1724
O 2.8015 2.8015 2.0071
O 1.3859 4.2171 4.0459
O 1.3859 1.3859 4.0459
O 0.0000 0.0000 5.9628
O 0.0000 0.0000 2.1738
O 4.2171 4.2171 4.0459
O 4.2171 1.3859 4.0459
O 4.1538 1.4491 7.8473
O 4.1538 4.1538 7.8473
O 2.8015 2.8015 5.8579
O 1.4491 1.4491 7.8473
O 1.4491 4.1538 7.8473
O 1.3825 4.2204 12.0383
O 1.3825 1.3825 12.0383
O 0.0000 0.0000 9.8902
O 4.2204 4.2204 12.0383
O 4.2204 1.3825 12.0383
O 4.2282 1.3747 0.2118
O 4.2282 4.2282 0.2118
O 2.8015 2.8015 14.1998
O 1.3747 1.3747 0.2118
O 1.3747 4.2282 0.2118



(2)
36
Lattice="6.4345 0.0000 0.0000 0.2446 8.5374 0.0000 0.2009 3.0706 10.0845" Properties=species:S:1:pos:R:3 comment="Na3VIO13 PBE with a Hubbard U optimized geometry" delta_e_f_ev_per_fu=-17.3 energy_corrected_mp2020_ev_per_atom=-5.3462 de_polymorph_mev_per_atom=0.0 pbc="T T T"
Na 5.2189 4.7980 1.9380
Na 1.6611 6.8101 8.1465
Na 2.7718 8.7294 3.4974
Na 4.1082 2.8787 6.5871
Na 2.6646 6.6695 0.5692
Na 4.2154 4.9385 9.5153
V 0.5469 1.7326 0.4812
V 6.3331 9.8754 9.6033
I 1.1767 3.4534 7.7932
I 5.7033 8.1547 2.2914
O 2.2070 10.6216 6.8706
O 4.6730 0.9865 3.2140
O 0.3570 4.2851 5.8048
O 6.5230 7.3230 4.2797
O 2.6296 4.5959 7.5494
O 4.2503 7.0121 2.5351
O 2.0076 2.5476 0.4260
O 4.8724 9.0604 9.6585
O 5.7958 2.8613 0.8832
O 1.0842 8.7467 9.2013
O 6.6300 4.9393 8.6482
O 0.2500 6.6687 1.4363
O 6.1671 10.9485 7.9837
O 0.7129 0.6595 2.1008
O 1.5207 2.9688 9.5819
O 5.3592 8.6393 0.5026
O 1.3411 4.2203 2.7548
O 5.5389 7.3877 7.3297
O 2.4100 4.7886 2.5408
O 4.4700 6.8195 7.5438
O 3.3040 3.3880 3.9861
O 3.5760 8.2201 6.0984
O 1.3455 7.0628 4.3990
O 5.5345 4.5452 5.6856
O 2.1836 2.8681 4.0661
O 4.6964 8.7400 6.0184



(3)
10
Lattice="0.0000 -4.0486 -4.0486 4.0486 0.0000 -4.0486 4.0486 -4.0486 0.0000" Properties=species:S:1:pos:R:3 comment="Eu2ZrVO6 PBE with a Hubbard U optimized geometry" delta_e_f_ev_per_fu=-32.2 energy_corrected_mp2020_ev_per_atom=-10.0072 pbc="T T T"
Eu 2.0243 -2.0243 -2.0243
Eu 6.0728 -6.0728 -6.0728
Zr 0.0000 0.0000 0.0000
V 4.0486 -4.0486 -4.0486
O 2.0854 -4.0486 -4.0486
O 6.0117 -4.0486 -4.0486
O 4.0486 -6.0117 -4.0486
O 4.0486 -2.0854 -4.0486
O 4.0486 -4.0486 -6.0117
O 4.0486 -4.0486 -2.0854



(4)
48
Lattice="-3.0028 2.5655 -3.4287 -4.8256 -3.1870 1.6887 -5.2993 9.8541 11.6806" Properties=species:S:1:pos:R:3 comment="Li8Mn3Fe5B8O24 PBE with a Hubbard U optimized geometry" delta_e_f_ev_per_fu=-114.9 energy_corrected_mp2020_ev_per_atom=-7.7541 de_polymorph_mev_per_atom=3.6 pbc="T T T"
Li -4.9276 5.8134 1.7656
Li -3.1353 0.1239 1.5226
Li -7.4080 9.5406 8.1090
Li -5.9446 6.1688 6.8040
Li -7.1799 3.0531 3.1399
Li -5.7255 -0.2940 1.8336
Li -9.9830 9.1171 8.4378
Li -8.2015 3.4016 8.1640
Mn -3.5415 1.2582 -1.3640
Mn -4.8246 8.1198 8.6853
Mn -9.5725 8.0059 11.3109
Fe -4.5093 4.6246 4.5870
Fe -4.5817 1.6226 3.6771
Fe -8.5238 7.5564 6.2284
Fe -8.6000 4.5595 5.3701
Fe -8.2917 1.1292 1.2758
B -2.7365 3.6626 2.3980
B -6.7743 6.5779 4.0171
B -5.3403 2.2882 0.8669
B -6.6044 9.1362 10.9044
B -6.5341 0.1179 -0.9548
B -7.7906 6.9618 9.0684
B -6.3513 2.6392 5.9231
B -10.3846 5.5501 7.5222
O -3.4655 4.5163 1.5828
O -3.2117 3.3635 3.6879
O -5.5581 6.0453 3.5925
O -2.5223 -0.2153 -0.3056
O -6.7622 9.2548 6.2998
O -4.8654 2.6075 -0.4085
O -6.1606 9.4922 9.6205
O -4.4906 4.8855 6.6478
O -4.6115 1.4268 1.6789
O -8.8622 10.8247 8.2434
O -7.2415 6.2853 5.3131
O -6.5627 6.4579 8.6403
O -6.5691 2.7872 1.3032
O -5.8927 2.9446 4.6293
O -4.2782 -1.5704 1.7089
O -8.5281 7.8294 8.2726
O -8.6521 4.3366 3.3029
O -6.9808 -0.2196 0.3365
O -8.2481 6.6451 10.3612
O -6.3521 -0.0466 3.6535
O -10.6245 9.4601 10.2577
O -7.5704 3.1736 6.3455
O -9.9408 5.8870 6.2235
O -9.6463 4.6750 8.2950



(5)
48
Lattice="0.0124 6.0300 4.9851 0.0123 -6.0297 4.9846 9.9991 0.0001 0.0356" Properties=species:S:1:pos:R:3 comment="TiFeP2O8 PBE with a Hubbard U optimized geometry" delta_e_f_ev_per_fu=-33.0 energy_corrected_mp2020_ev_per_atom=-8.3154 de_polymorph_mev_per_atom=5.1 pbc="T T T"
Ti 2.2533 -1.5069 7.3367
Ti 2.2413 -1.5078 2.3506
Ti 7.7706 1.5072 2.6686
Ti 7.7826 1.5082 7.6548
Fe 2.7189 -4.5224 4.8541
Fe 7.3046 4.5226 5.1510
Fe 2.7225 1.5073 4.8518
Fe 7.3013 -1.5069 5.1536
P 0.9776 1.5074 2.2187
P 0.9900 1.5079 7.2005
P 9.0463 -1.5069 7.7867
P 9.0339 -1.5075 2.8046
P 3.9822 4.5228 4.4566
P 3.9800 -1.5077 4.4568
P 6.0414 -4.5224 5.5489
P 6.0437 1.5082 5.5486
O 0.5495 -1.5070 8.1847
O 0.5378 -1.5075 3.1991
O 9.4744 1.5074 1.8206
O 9.4861 1.5079 6.8062
O 1.0730 1.5068 3.7246
O 1.0870 1.5081 8.7076
O 8.9509 -1.5064 6.2807
O 8.9369 -1.5078 1.2975
O 3.5501 -1.5074 5.9457
O 3.5522 4.5227 5.9453
O 6.4738 1.5078 4.0598
O 6.4715 -4.5223 4.0601
O 4.5456 -4.5229 5.6851
O 4.5476 1.5090 5.6833
O 5.4781 4.5236 4.3206
O 5.4763 -1.5084 4.3222
O 1.6945 0.2764 1.5378
O 1.7056 0.2764 6.5212
O 1.7065 -3.2909 6.5235
O 1.7056 2.7392 6.5204
O 8.3175 3.2913 3.4819
O 8.3183 -2.7388 3.4848
O 8.3296 -0.2760 8.4676
O 8.3183 -0.2760 3.4839
O 3.2790 -0.3323 8.6677
O 3.2666 -0.3325 3.6829
O 3.2680 3.3476 3.6831
O 3.2657 -2.6826 3.6830
O 6.7447 0.3327 1.3377
O 6.7572 0.3329 6.3225
O 6.7559 -3.3471 6.3223
O 6.7582 2.6830 6.3224



(6)
28
Lattice="0.8940 2.7354 -0.3895 -13.5254 5.8826 -0.6997 0.6002 0.6289 5.7420" Properties=species:S:1:pos:R:3 comment="Li6CoOF6 PBE with a Hubbard U optimized geometry" delta_e_f_ev_per_fu=-40.1 energy_corrected_mp2020_ev_per_atom=-5.3664 pbc="T T T"
Li -13.1425 6.1683 2.1650
Li -12.8456 6.4845 5.0380
Li -2.8345 4.4117 2.7514
Li -3.1378 4.0989 -0.1175
Li -5.4097 3.5555 1.6460
Li -5.1102 3.8698 4.5151
Li -10.5699 7.0263 3.2744
Li -10.8705 6.7117 0.4015
Li -6.7269 5.7272 3.0146
Li -7.0273 5.4129 0.1437
Li -9.2526 4.8544 1.9036
Li -8.9529 5.1689 4.7746
Co -1.3775 2.1924 1.3737
Co -1.0774 2.5068 4.2447
O -0.8061 3.7301 2.6152
O -1.0552 3.3898 -0.2572
F -12.4861 7.6745 3.4092
F -12.7846 7.3548 0.5268
F -3.4969 2.9130 1.5202
F -3.1952 3.2225 4.3798
F -4.8042 5.0768 2.8865
F -5.1026 4.7616 0.0145
F -11.1789 5.5050 2.0344
F -10.8772 5.8188 4.9044
F -7.3282 4.2042 1.7736
F -7.0281 4.5187 4.6448
F -8.6517 6.3777 3.1443
F -8.9518 6.0632 0.2736



(7)
28
Lattice="0.0010 0.0098 5.7866 8.2878 -4.7139 2.8872 1.6701 4.7460 2.9034" Properties=species:S:1:pos:R:3 comment="Al2NiO4 PBE with a Hubbard U optimized geometry" delta_e_f_ev_per_fu=-19.5 energy_corrected_mp2020_ev_per_atom=-7.5024 de_polymorph_mev_per_atom=23.6 pbc="T T T"
Al 2.4880 0.0172 4.3319
Al 7.4683 0.0362 7.2438
Al 5.8156 2.3932 7.2366
Al 0.8349 2.3742 4.3479
Al 3.3296 2.3869 5.7915
Al 6.6334 -2.3465 5.7953
Al 3.3242 2.3876 8.6793
Al 6.6371 -2.3384 8.6796
Ni 9.1015 -0.5674 10.1336
Ni 0.8397 0.5672 1.4531
Ni 4.1275 -0.5676 7.2088
Ni 5.8215 0.5861 4.3470
O 2.6780 3.5188 7.2198
O 5.9867 -1.2110 7.2519
O 3.9774 1.2715 4.3519
O 7.2894 -3.4492 4.3369
O 4.1593 1.4102 7.2498
O 7.4649 -3.3278 7.2291
O 2.5009 3.3374 4.3372
O 5.8076 -1.3889 4.3472
O 3.2058 -1.2431 5.5953
O 8.2157 -1.2092 8.5011
O 3.2341 -1.2253 3.0531
O 8.1908 -1.2159 5.9766
O 1.7578 1.2723 5.6338
O 6.7372 1.2921 8.5346
O 1.7555 1.2765 3.0524
O 6.7348 1.2894 5.9557



(8)
26
Lattice="6.8564 -0.4743 1.6986 1.6768 6.6022 1.0108 0.2056 -0.0119 7.9923" Properties=species:S:1:pos:R:3 comment="MgCrH3C2O6 PBE with a Hubbard U optimized geometry" delta_e_f_ev_per_fu=-14.9 energy_corrected_mp2020_ev_per_atom=-6.4947 pbc="T T T"
Mg 3.6053 1.9711 3.7357
Mg 5.1335 4.1447 6.9661
Cr 1.9364 4.1624 0.8875
Cr 6.8024 1.9534 9.8142
H 2.2109 4.4898 4.2386
H 6.5279 1.6260 6.4632
H 5.1485 0.1091 4.0584
H 3.5903 6.0068 6.6434
H 3.4008 5.1475 9.2418
H 5.3380 0.9684 1.4599
C 2.7297 2.4776 6.6528
C 6.0091 3.6383 4.0490
C 1.7167 1.5439 2.2401
C 7.0221 4.5720 8.4617
O 1.5495 2.0992 6.9566
O 7.1894 4.0167 3.7451
O 2.4304 2.6989 2.1881
O 6.3085 3.4170 8.5137
O 3.3673 2.0318 5.6507
O 5.3715 4.0841 5.0511
O 0.6550 1.3735 1.5503
O 8.0838 4.7424 9.1515
O 2.1942 0.6788 3.0485
O 6.5446 5.4371 7.6532
O 5.3962 2.7389 3.2699
O 3.3426 3.3770 7.4319



(9)
7
Lattice="5.7455 0.0412 0.0390 9.6932 6.4123 0.2117 9.6989 4.7542 2.9295" Properties=species:S:1:pos:R:3 comment="MgCrSbO4 PBE with a Hubbard U optimized geometry" delta_e_f_ev_per_fu=-14.1 energy_corrected_mp2020_ev_per_atom=-7.0322 de_polymorph_mev_per_atom=120.0 pbc="T T T"
Mg 9.9612 3.0596 1.8874
Cr 7.5294 2.3312 1.4389
Sb 12.6402 5.7540 1.6801
O 3.5150 1.3767 0.8412
O 8.6594 4.0625 0.6364
O 11.7888 3.5540 2.1993
O 16.6964 6.9346 2.4154



(10)
26
Lattice="5.1910 0.0021 -1.1920 -0.2782 5.1743 -1.2042 0.1004 0.1296 12.2615" Properties=species:S:1:pos:R:3 comment="Sr2MnAlCu2O7 PBE with a Hubbard U optimized geometry" delta_e_f_ev_per_fu=-29.3 energy_corrected_mp2020_ev_per_atom=-6.7982 pbc="T T T"
Sr 1.6762 1.8539 7.8154
Sr 3.1219 3.4030 2.0907
Sr 4.1302 4.5182 6.6023
Sr 0.6706 0.7605 3.3043
Mn 1.2370 3.6399 4.9737
Mn 3.9432 1.6459 4.8410
Al 5.2077 0.1884 11.0657
Al 2.4713 2.6909 11.0789
Cu 4.7325 2.4191 9.1925
Cu 0.0859 2.9159 0.6862
Cu 2.0062 4.9723 9.1986
Cu 2.8209 0.3122 0.7006
O 0.6199 1.8103 5.5621
O 3.1232 3.4736 4.5811
O 1.2847 1.4938 10.3553
O 1.6987 3.7888 -0.0022
O 3.9197 0.7647 9.8933
O 4.2426 4.5542 -0.8025
O 3.0109 3.3165 9.4470
O 3.6377 1.9582 -0.0051
O 0.3931 4.1081 9.8884
O 1.0795 1.2244 0.7996
O 1.3864 4.4206 6.6971
O 3.3405 0.8681 3.2157
O 4.1377 1.7259 6.7286
O 0.5940 3.5641 3.1888